Li2CuNiP2O8 after structural relaxation, computed with GGA+U.

a = 4.7428 Å, b = 6.0366 Å, c = 10.0440 Å
α = 90.00°, β = 91.55°, γ = 90.00°
Last column: nearest neighbours and their distance in Å.
Space group P2_1/m (No. 11)
Symmetry-distinct sites (fractional):
Li 0.0000 0.0000 0.0000 (multiplicity 2)  6 O 2.12-2.21
Li 0.5000 0.0000 0.5000 (multiplicity 2)  6 O 2.14-2.17
Cu 0.0447 0.2500 0.7189 (multiplicity 2)  4 O 1.98-2.07
Ni 0.4835 0.2500 0.2215 (multiplicity 2)  6 O 2.04-2.16
P 0.0749 0.7500 0.5929 (multiplicity 2)  4 O 1.53-1.57
P 0.4167 0.7500 0.0966 (multiplicity 2)  4 O 1.56
O 0.1877 0.7500 0.4478 (multiplicity 2)  1 P 1.57
O 0.2221 0.5483 0.6647 (multiplicity 4)  1 P 1.57
O 0.2480 0.2500 0.4029 (multiplicity 2)  1 P 1.53
O 0.2553 0.2500 0.8965 (multiplicity 2)  1 P 1.56
O 0.2861 0.5421 0.1643 (multiplicity 4)  1 P 1.56
O 0.2977 0.7500 0.9507 (multiplicity 2)  1 P 1.56

Properties
energy relative to the elements	-2271	meV/atom
volume	143.7	Å³/f.u.
magnetization	1.0	μB per formula unit